(1)
PBE+U Fe2PH2CO7, optimized geometry; ΔE to the lowest computed polymorph = 1.540 eV per formula unit; space group = P2_1/c (14); calculated formation energy = -1759.5 meV/atom; calculated density = 2.6 g/cm³
1.0
5.758 0.000 0.000
0.000 7.812 0.000
0.000 7.736 15.360
O H C Fe P
28 8 4 8 4
Direct
0.741 0.646 0.947
0.298 0.722 0.106
0.608 0.613 0.226
0.774 0.831 0.578
0.108 0.387 0.274
0.202 0.576 0.413
0.259 0.354 0.053
0.702 0.278 0.894
0.892 0.613 0.726
0.047 0.960 0.657
0.011 0.843 0.219
0.726 0.831 0.078
0.489 0.843 0.719
0.798 0.278 0.394
0.547 0.040 0.843
0.702 0.424 0.087
0.453 0.960 0.157
0.759 0.646 0.447
0.274 0.169 0.922
0.798 0.424 0.587
0.202 0.722 0.606
0.226 0.169 0.422
0.511 0.157 0.281
0.392 0.387 0.774
0.298 0.576 0.913
0.953 0.040 0.343
0.241 0.354 0.553
0.989 0.157 0.781
0.743 0.969 0.546
0.243 0.031 0.954
0.757 0.969 0.046
0.158 0.911 0.196
0.257 0.031 0.454
0.842 0.089 0.804
0.658 0.089 0.304
0.342 0.911 0.696
0.128 0.480 0.490
0.628 0.520 0.010
0.872 0.520 0.510
0.372 0.480 0.990
0.015 0.362 0.822
0.039 0.215 0.660
0.985 0.638 0.178
0.961 0.785 0.340
0.515 0.638 0.678
0.461 0.215 0.160
0.485 0.362 0.322
0.539 0.785 0.840
0.502 0.782 0.145
0.498 0.218 0.855
0.002 0.218 0.355
0.998 0.782 0.645

***

(2)
PBE+U MgTeW3O12, optimized geometry; ΔE to the lowest computed polymorph = 0.503 eV per formula unit; space group = P1 (1); calculated formation energy = -2077.4 meV/atom; calculated density = 6.4 g/cm³
1.0
5.631 -0.036 -0.037
6.198 9.293 0.034
6.190 6.327 4.404
O W Te Mg
12 3 1 1
Direct
0.685 0.235 0.815
0.659 0.686 0.829
0.702 0.365 0.426
0.327 0.799 0.161
0.430 0.304 0.117
0.857 0.177 0.272
0.285 0.579 0.667
0.756 0.883 0.353
0.819 0.722 0.242
0.160 0.856 0.698
0.261 0.081 0.673
0.116 0.315 0.755
0.467 0.507 0.492
0.999 0.005 0.977
0.510 0.996 0.485
0.971 0.486 0.010
0.692 0.510 0.703

***

(3)
PBE+U Li4Cr5FeO12, optimized geometry; space group = C2/m (12); calculated formation energy = -2145.4 meV/atom; calculated density = 3.8 g/cm³
1.0
4.467 2.569 0.000
-4.467 2.569 0.000
0.000 0.033 10.136
Cr Li O Fe
5 4 12 1
Direct
0.835 0.165 0.500
0.165 0.835 0.500
0.500 0.500 0.500
0.665 0.335 0.000
0.335 0.665 0.000
0.851 0.347 0.250
0.653 0.149 0.750
0.149 0.653 0.750
0.347 0.851 0.250
0.009 0.663 0.107
0.835 0.492 0.605
0.676 0.676 0.904
0.170 0.170 0.593
0.830 0.830 0.407
0.492 0.835 0.605
0.337 0.991 0.893
0.508 0.165 0.395
0.991 0.337 0.893
0.663 0.009 0.107
0.165 0.508 0.395
0.324 0.324 0.096
0.000 0.000 0.000

***

Number 1: energy with MP2020 corrections -7.38 eV per atom. Number 2: energy with MP2020 corrections -8.14 eV per atom. Number 3: energy with MP2020 corrections -7.77 eV per atom.